Entry from the Materials Project: a relaxed structure of Ho3Ga5 (r²SCAN).

space-group type	Pnma
formation energy	-0.73	eV per atom
raw total energy	-161.7	eV per formula unit

POSCAR file:
```
Ho3Ga5
1.0
-5.116 0.484 -3.208
1.500 9.381 -0.976
5.811 -1.923 -9.557
Ga Ho
20 12
direct
0.823 0.250 0.253 Ga
0.372 0.946 0.590 Ga
0.402 0.250 0.302 Ga
0.177 0.750 0.747 Ga
0.098 0.250 0.802 Ga
0.872 0.054 0.910 Ga
0.128 0.554 0.090 Ga
0.872 0.446 0.910 Ga
0.372 0.554 0.590 Ga
0.628 0.054 0.410 Ga
0.128 0.946 0.090 Ga
0.128 0.750 0.496 Ga
0.902 0.750 0.198 Ga
0.598 0.750 0.698 Ga
0.323 0.750 0.247 Ga
0.628 0.250 0.004 Ga
0.628 0.446 0.410 Ga
0.372 0.750 0.996 Ga
0.872 0.250 0.504 Ga
0.677 0.250 0.753 Ga
0.389 0.490 0.851 Ho
0.611 0.510 0.149 Ho
0.611 0.990 0.149 Ho
0.151 0.250 0.077 Ho
0.889 0.510 0.649 Ho
0.349 0.250 0.577 Ho
0.651 0.750 0.423 Ho
0.389 0.010 0.851 Ho
0.849 0.750 0.923 Ho
0.111 0.010 0.351 Ho
0.111 0.490 0.351 Ho
0.889 0.990 0.649 Ho
```